VASP calculation (GGA+U) on Li4Mn5O9F after structural relaxation.

Cell and atoms, written as extended XYZ:
```
19
Lattice="4.926 -1.449 0.000 4.926 1.449 0.000 -2.973 0.000 13.665" Properties=species:S:1:pos:R:3 pbc="T T T"
Li 0.000 0.000 0.000
Li 0.477 0.000 5.681
Li 5.098 0.000 2.844
Li 5.829 0.000 8.341
Mn -1.614 0.000 9.878
Mn 2.511 0.000 1.609
Mn 3.142 0.000 7.019
Mn 4.325 0.000 12.536
Mn 7.653 0.000 4.354
O -1.758 0.000 11.949
O -0.576 0.000 7.466
O 1.519 0.000 3.804
O 0.502 0.000 13.265
O 2.340 0.000 8.738
O 3.885 0.000 5.085
O 6.246 0.000 1.023
O 6.872 0.000 6.442
O 8.571 0.000 2.343
F 4.909 0.000 10.124
```

Energy relative to the elements ... -2.166 eV/atom
Total magnetic moment ... 1.053 μB per atom
Raw total energy ... -6.63 eV per atom
Space group ... No. 8

---

VASP calculation (GGA+U) on BaDyFeCuO5 after structural relaxation.

Cell and atoms, written as extended XYZ:
```
9
Lattice="3.895 0.000 0.000 0.000 3.895 0.000 0.000 0.000 7.964" Properties=species:S:1:pos:R:3 pbc="T T T"
Ba 0.000 0.000 0.000
Dy 0.000 0.000 3.695
Fe 1.947 1.947 5.613
Cu 1.947 1.947 2.018
O 0.000 1.947 2.201
O 0.000 1.947 5.045
O 1.947 0.000 2.201
O 1.947 0.000 5.045
O 1.947 1.947 7.482
```

Energy relative to the elements ... -2.482 eV/atom
Total magnetic moment ... 0.552 μB per atom
Raw total energy ... -6.72 eV per atom
Space group ... No. 99

---

VASP calculation (GGA+U) on SrMoP2O8 after structural relaxation.

Cell and atoms, written as extended XYZ:
```
24
Lattice="5.720 0.000 0.000 -0.995 7.066 0.000 -1.759 -3.654 8.411" Properties=species:S:1:pos:R:3 pbc="T T T"
Sr 1.093 1.735 0.217
Sr 1.874 1.677 8.194
Mo 0.502 3.040 3.678
Mo 2.465 0.372 4.733
P -0.807 0.747 5.868
P 0.902 5.803 1.936
P 2.065 -2.391 6.475
P 3.774 2.665 2.543
O -1.450 3.726 3.583
O -0.640 1.756 2.473
O -0.164 6.249 0.945
O -0.392 0.295 7.249
O 0.864 4.213 2.114
O 0.450 1.484 5.193
O 0.675 -2.814 6.871
O 1.517 -0.682 3.366
O 1.450 4.093 5.045
O 2.293 6.225 1.540
O 2.518 1.927 3.218
O 2.103 -0.801 6.297
O 3.359 3.117 1.162
O 3.131 -2.838 7.466
O 3.607 1.656 5.938
O 4.417 -0.314 4.828
```

Energy relative to the elements ... -2.690 eV/atom
Energy relative to the lowest polymorph listed for this composition ... 0.000 eV/atom
Total magnetic moment ... 0.167 μB per atom
Raw total energy ... -7.21 eV per atom
Space group ... No. 2

---

VASP calculation (GGA+U) on NaCo2H3S2O10 after structural relaxation.

Cell and atoms, written as extended XYZ:
```
18
Lattice="5.535 -3.059 0.000 5.535 3.059 0.000 -3.341 0.000 6.705" Properties=species:S:1:pos:R:3 pbc="T T T"
Na 0.000 0.000 0.000
Co 6.644 1.482 3.391
Co 6.644 -1.482 3.391
H -1.500 0.000 3.783
H 1.594 0.000 5.438
H 5.998 0.000 1.307
S 4.233 0.000 1.727
S 3.396 0.000 5.190
O -0.609 0.000 4.274
O -0.923 0.000 5.658
O 2.203 1.116 5.267
O 1.587 0.000 2.652
O 5.396 1.116 1.544
O 2.203 -1.116 5.267
O 5.988 0.000 4.202
O 5.396 -1.116 1.544
O 8.392 0.000 1.419
O 8.116 0.000 2.751
```

Energy relative to the elements ... -0.813 eV/atom
Energy relative to the lowest polymorph listed for this composition ... 0.899 eV/atom
Total magnetic moment ... 0.230 μB per atom
Raw total energy ... -4.89 eV per atom
Space group ... No. 8

---

Which formula does entry 1 have? Li4Mn5O9F